Record 1
Density functional theory data (PBE) for an optimized crystal structure of Hg3AsBrO4.

a b c (Å): 8.701 8.701 8.701
angles (deg): 90.00 90.00 90.00
Fractional positions:
Hg: 0.606 0.142 0.053
O: 0.376 0.398 0.896
Hg: 0.394 0.642 0.447
Hg: 0.947 0.106 0.358
As: 0.517 0.017 0.483
O: 0.602 0.396 0.124
Hg: 0.106 0.358 0.947
O: 0.604 0.624 0.898
Br: 0.264 0.764 0.736
O: 0.104 0.876 0.102
Hg: 0.894 0.858 0.553
O: 0.898 0.604 0.624
Hg: 0.553 0.894 0.858
O: 0.370 0.630 0.130
Hg: 0.858 0.553 0.894
O: 0.130 0.370 0.630
As: 0.017 0.483 0.517
Hg: 0.642 0.447 0.394
Hg: 0.358 0.947 0.106
O: 0.398 0.896 0.376
Br: 0.764 0.736 0.264
O: 0.124 0.602 0.396
Hg: 0.142 0.053 0.606
Br: 0.236 0.236 0.236
Hg: 0.447 0.394 0.642
O: 0.876 0.102 0.104
O: 0.624 0.898 0.604
O: 0.630 0.130 0.370
O: 0.102 0.104 0.876
Hg: 0.053 0.606 0.142
As: 0.483 0.517 0.017
O: 0.870 0.870 0.870
O: 0.896 0.376 0.398
Br: 0.736 0.264 0.764
As: 0.983 0.983 0.983
O: 0.396 0.124 0.602

## Properties
**SG**: P2_13, No. 198

Record 2
Density functional theory data (PBE) for an optimized crystal structure of PrFe2.

a b c (Å): 5.291 5.291 5.291
angles (deg): 60.00 60.00 60.00
Fractional positions:
Pr: 0.500 0.500 0.500
Fe: 0.125 0.125 0.125
Pr: 0.750 0.750 0.750
Fe: 0.125 0.625 0.125
Fe: 0.625 0.125 0.125
Fe: 0.125 0.125 0.625

## Properties
**SG**: Fd-3m, No. 227

Record 3
Density functional theory data (PBE) for an optimized crystal structure of SiO2.

a b c (Å): 8.653 8.653 14.121
angles (deg): 90.00 90.00 109.71
Fractional positions:
O: 0.349 0.013 0.921
O: 0.796 0.796 0.000
Si: 0.049 0.266 0.518
Si: 0.892 0.420 0.140
O: 0.904 0.601 0.396
O: 0.112 0.888 0.450
O: 0.013 0.349 0.421
O: 0.601 0.904 0.604
Si: 0.580 0.108 0.360
O: 0.651 0.987 0.079
O: 0.904 0.601 0.104
O: 0.013 0.349 0.079
Si: 0.892 0.420 0.360
Si: 0.420 0.892 0.860
O: 0.950 0.431 0.250
O: 0.112 0.888 0.050
O: 0.888 0.112 0.950
O: 0.204 0.204 0.000
O: 0.796 0.796 0.500
O: 0.431 0.950 0.750
Si: 0.420 0.892 0.640
O: 0.096 0.399 0.896
O: 0.298 0.702 0.870
Si: 0.266 0.049 0.018
O: 0.888 0.112 0.550
Si: 0.951 0.734 0.482
O: 0.399 0.096 0.104
O: 0.702 0.298 0.130
O: 0.399 0.096 0.396
O: 0.702 0.298 0.370
O: 0.651 0.987 0.421
Si: 0.580 0.108 0.140
O: 0.987 0.651 0.921
Si: 0.266 0.049 0.482
Si: 0.049 0.266 0.982
O: 0.298 0.702 0.630
O: 0.096 0.399 0.604
Si: 0.734 0.951 0.982
O: 0.349 0.013 0.579
O: 0.987 0.651 0.579
O: 0.204 0.204 0.500
Si: 0.108 0.580 0.640
O: 0.050 0.569 0.750
O: 0.601 0.904 0.896
Si: 0.108 0.580 0.860
Si: 0.951 0.734 0.018
O: 0.569 0.050 0.250
Si: 0.734 0.951 0.518

## Properties
**SG**: Cmcm, No. 63

Record 4
Density functional theory data (PBE) for an optimized crystal structure of LiCuH4O4.

a b c (Å): 6.261 6.654 8.451
angles (deg): 90.00 90.00 90.00
Fractional positions:
H: 0.752 0.156 0.745
O: 0.023 0.706 0.533
O: 0.758 0.445 0.786
O: 0.477 0.206 0.033
Cu: 0.775 0.491 0.003
O: 0.977 0.294 0.033
H: 0.399 0.028 0.739
O: 0.262 0.989 0.220
O: 0.242 0.555 0.286
H: 0.473 0.672 0.063
O: 0.523 0.794 0.533
O: 0.738 0.011 0.720
O: 0.579 0.696 0.979
H: 0.994 0.236 0.928
Li: 0.027 0.844 0.748
O: 0.421 0.304 0.479
H: 0.252 0.344 0.745
H: 0.899 0.472 0.739
H: 0.601 0.972 0.239
H: 0.027 0.172 0.563
O: 0.762 0.511 0.220
H: 0.748 0.656 0.245
H: 0.006 0.764 0.428
Li: 0.973 0.156 0.248
O: 0.079 0.804 0.979
Li: 0.527 0.656 0.748
H: 0.973 0.828 0.063
Cu: 0.275 0.009 0.003
O: 0.258 0.055 0.786
H: 0.248 0.844 0.245
H: 0.101 0.528 0.239
Cu: 0.225 0.509 0.503
Li: 0.473 0.344 0.248
H: 0.506 0.736 0.428
H: 0.527 0.328 0.563
O: 0.238 0.489 0.720
O: 0.921 0.196 0.479
O: 0.742 0.945 0.286
Cu: 0.725 0.991 0.503
H: 0.494 0.264 0.928

## Properties
**SG**: Pna2_1, No. 33

Record 5
Density functional theory data (PBE) for an optimized crystal structure of K2LiSbBr6.

a b c (Å): 7.823 7.823 7.823
angles (deg): 60.00 60.00 60.00
Fractional positions:
Br: 0.746 0.254 0.746
K: 0.750 0.750 0.750
Br: 0.254 0.746 0.746
K: 0.250 0.250 0.250
Sb: 0.000 0.000 0.000
Li: 0.500 0.500 0.500
Br: 0.254 0.254 0.746
Br: 0.746 0.254 0.254
Br: 0.254 0.746 0.254
Br: 0.746 0.746 0.254

## Properties
**SG**: Fm-3m, No. 225

Record 6
Density functional theory data (PBE) for an optimized crystal structure of Cu7Te6O18F2.

a b c (Å): 5.057 9.645 10.030
angles (deg): 82.48 76.69 80.48
Fractional positions:
Cu: 0.182 0.564 0.072
Cu: 0.881 0.654 0.431
O: 0.748 0.602 0.273
O: 0.066 0.921 0.822
Cu: 0.563 0.181 0.789
Te: 0.170 0.018 0.642
Cu: 0.437 0.819 0.211
O: 0.937 0.195 0.680
O: 0.645 0.269 0.938
O: 0.554 0.565 0.836
F: 0.240 0.223 0.416
O: 0.267 0.504 0.447
Cu: 0.818 0.436 0.928
Te: 0.661 0.777 0.909
O: 0.497 0.928 0.347
Te: 0.339 0.223 0.091
O: 0.943 0.622 0.937
O: 0.063 0.805 0.320
Cu: 0.119 0.346 0.569
O: 0.733 0.496 0.553
F: 0.760 0.777 0.584
Te: 0.401 0.571 0.676
O: 0.720 0.879 0.054
O: 0.446 0.435 0.164
O: 0.280 0.121 0.946
O: 0.503 0.072 0.653
O: 0.057 0.378 0.063
Te: 0.830 0.982 0.358
O: 0.252 0.398 0.727
Te: 0.599 0.429 0.324
Cu: 0.000 0.000 0.000
O: 0.934 0.079 0.178
O: 0.355 0.731 0.062

## Properties
**SG**: P-1, No. 2

Record 7
Density functional theory data (PBE) for an optimized crystal structure of Co2W4C.

a b c (Å): 8.013 8.013 8.013
angles (deg): 60.00 60.00 60.00
Fractional positions:
W: 0.688 0.688 0.312
W: 0.312 0.312 0.688
W: 0.125 0.625 0.125
W: 0.125 0.125 0.125
C: 0.625 0.625 0.625
W: 0.688 0.312 0.312
W: 0.562 0.562 0.938
W: 0.562 0.938 0.562
C: 0.625 0.625 0.125
Co: 0.331 0.006 0.331
W: 0.938 0.938 0.562
W: 0.938 0.562 0.562
Co: 0.244 0.919 0.919
W: 0.625 0.125 0.125
C: 0.625 0.125 0.625
W: 0.938 0.562 0.938
Co: 0.331 0.331 0.331
Co: 0.919 0.244 0.919
W: 0.125 0.125 0.625
Co: 0.919 0.919 0.244
C: 0.125 0.625 0.625
W: 0.562 0.938 0.938
W: 0.312 0.688 0.688
Co: 0.919 0.919 0.919
W: 0.312 0.688 0.312
Co: 0.331 0.331 0.006
W: 0.688 0.312 0.688
Co: 0.006 0.331 0.331

## Properties
**SG**: Fd-3m, No. 227

Record 8
Density functional theory data (PBE) for an optimized crystal structure of CsH5S2N2O6.

a b c (Å): 5.357 6.333 25.185
angles (deg): 90.00 90.00 90.00
Fractional positions:
O: 0.881 0.276 0.340
H: 0.729 0.026 0.718
S: 0.842 0.486 0.317
H: 0.229 0.474 0.282
H: 0.544 0.861 0.751
N: 0.032 0.999 0.044
O: 0.101 0.984 0.710
O: 0.111 0.640 0.926
H: 0.905 0.345 0.463
H: 0.771 0.974 0.218
O: 0.899 0.484 0.790
O: 0.331 0.438 0.521
N: 0.468 0.001 0.544
H: 0.956 0.139 0.251
N: 0.448 0.504 0.768
H: 0.271 0.526 0.782
H: 0.044 0.639 0.249
O: 0.619 0.724 0.840
S: 0.342 0.014 0.683
H: 0.388 0.898 0.516
O: 0.399 0.016 0.210
S: 0.158 0.986 0.183
O: 0.381 0.224 0.660
O: 0.607 0.343 0.856
Cs: 0.595 0.478 0.153
H: 0.612 0.398 0.984
O: 0.643 0.228 0.043
O: 0.143 0.272 0.957
Cs: 0.905 0.522 0.653
S: 0.199 0.495 0.966
S: 0.658 0.514 0.817
O: 0.169 0.562 0.021
N: 0.948 0.996 0.232
O: 0.119 0.776 0.160
H: 0.931 0.548 0.417
O: 0.893 0.657 0.356
O: 0.107 0.157 0.144
O: 0.857 0.772 0.543
N: 0.532 0.501 0.956
H: 0.095 0.845 0.037
O: 0.669 0.938 0.979
O: 0.831 0.062 0.479
H: 0.112 0.102 0.016
O: 0.393 0.843 0.644
S: 0.699 0.005 0.034
N: 0.052 0.496 0.268
O: 0.357 0.728 0.457
S: 0.801 0.995 0.534
O: 0.389 0.360 0.426
O: 0.601 0.516 0.290
N: 0.968 0.499 0.456
H: 0.888 0.602 0.484
H: 0.431 0.952 0.583
H: 0.569 0.452 0.917
H: 0.069 0.048 0.083
N: 0.552 0.004 0.732
Cs: 0.095 0.022 0.847
O: 0.611 0.860 0.074
H: 0.456 0.361 0.749
H: 0.405 0.155 0.537
O: 0.889 0.140 0.574
Cs: 0.405 0.978 0.347
H: 0.595 0.655 0.963
S: 0.301 0.505 0.466

## Properties
**SG**: P2_12_12_1, No. 19

no.,electronic total energy (eV/atom),energy of formation from the pure elements (meV per atom)
1,-3.68,-990
2,-7.12,118
3,-7.90,-3256
4,-4.93,-1268
5,-3.04,-1557
6,-5.15,-1297
7,-10.82,-67
8,-5.56,-1282